## BC3 (PBE-GGA)

Data for a relaxed BC3 crystal.

Calculated values
- electronic total energy (eV per atom) = -8.343
- spin magnetization (μB/f.u.) = 0.000
- crystal system = cubic

Unit cell a=6.352 b=6.352 c=6.352 alpha=109.47 beta=109.47 gamma=109.47
Fractional positions:
B: 0.000 0.000 0.206
B: 0.000 0.000 0.516
B: 0.000 0.206 0.000
B: 0.000 0.516 0.000
B: 0.206 0.000 0.000
B: 0.484 0.484 0.484
B: 0.516 0.000 0.000
B: 0.794 0.794 0.794
C: 0.000 0.267 0.267
C: 0.000 0.494 0.742
C: 0.000 0.733 0.733
C: 0.000 0.742 0.494
C: 0.248 0.506 0.506
C: 0.250 0.500 0.750
C: 0.250 0.750 0.500
C: 0.258 0.258 0.752
C: 0.258 0.752 0.258
C: 0.267 0.000 0.267
C: 0.267 0.267 0.000
C: 0.494 0.000 0.742
C: 0.494 0.742 0.000
C: 0.500 0.250 0.750
C: 0.500 0.750 0.250
C: 0.506 0.248 0.506
C: 0.506 0.506 0.248
C: 0.733 0.000 0.733
C: 0.733 0.733 0.000
C: 0.742 0.000 0.494
C: 0.742 0.494 0.000
C: 0.750 0.250 0.500
C: 0.750 0.500 0.250
C: 0.752 0.258 0.258



## BC (PBE-GGA)

Data for a relaxed BC crystal.

Calculated values
- electronic total energy (eV per atom) = -7.357
- spin magnetization (μB/f.u.) = 0.000
- crystal system = hexagonal
- ΔE to the lowest computed polymorph (eV/atom) = 0.097

Unit cell a=2.685 b=2.685 c=6.885 alpha=90.00 beta=90.00 gamma=120.00
Fractional positions:
B: 0.000 0.000 0.000
C: 0.333 0.667 0.000



## B4C (PBE-GGA)

Data for a relaxed B4C crystal.

Calculated values
- electronic total energy (eV per atom) = -7.218
- crystal system = trigonal
- ΔE to the lowest computed polymorph (eV/atom) = 0.071

Unit cell a=5.184 b=5.184 c=5.184 alpha=65.98 beta=65.98 gamma=65.98
Fractional positions:
B: 0.006 0.006 0.330
B: 0.006 0.330 0.006
B: 0.194 0.194 0.691
B: 0.194 0.691 0.194
B: 0.309 0.806 0.806
B: 0.330 0.006 0.006
B: 0.670 0.994 0.994
B: 0.691 0.194 0.194
B: 0.806 0.309 0.806
B: 0.806 0.806 0.309
B: 0.994 0.670 0.994
B: 0.994 0.994 0.670
C: 0.390 0.390 0.390
C: 0.500 0.500 0.500
C: 0.610 0.610 0.610



## B4C (PBE-GGA)

Data for a relaxed B4C crystal.

Calculated values
- electronic total energy (eV per atom) = -7.290
- crystal system = monoclinic
- ΔE to the lowest computed polymorph (eV/atom) = 0.000

Unit cell a=5.208 b=5.208 c=5.055 alpha=113.94 beta=113.94 gamma=65.10
Fractional positions:
B: 0.000 0.000 0.000
B: 0.175 0.497 0.504
B: 0.187 0.696 0.294
B: 0.303 0.816 0.689
B: 0.310 0.310 0.177
B: 0.497 0.175 0.504
B: 0.505 0.830 0.483
B: 0.507 0.507 0.151
B: 0.692 0.692 0.807
B: 0.696 0.187 0.294
B: 0.816 0.303 0.689
B: 0.830 0.505 0.483
C: 0.121 0.121 0.885
C: 0.496 0.496 0.814
C: 0.875 0.875 0.106



## BC7 (PBE-GGA)

Data for a relaxed BC7 crystal.

Calculated values
- electronic total energy (eV per atom) = -8.675
- spin magnetization (μB/f.u.) = 0.004
- crystal system = trigonal
- ΔE to the lowest computed polymorph (eV/atom) = 0.035

Unit cell a=2.536 b=2.536 c=8.522 alpha=90.00 beta=90.00 gamma=120.00
Fractional positions:
B: 0.000 0.000 0.000
C: 0.000 0.000 0.189
C: 0.333 0.667 0.493
C: 0.333 0.667 0.677
C: 0.667 0.333 0.251
C: 0.667 0.333 0.432
C: 0.667 0.333 0.741
C: 0.667 0.333 0.916



## B4C (PBE-GGA)

Data for a relaxed B4C crystal.

Calculated values
- electronic total energy (eV per atom) = -6.388
- spin magnetization (μB/f.u.) = 0.000
- crystal system = trigonal
- ΔE to the lowest computed polymorph (eV/atom) = 0.902

Unit cell a=5.175 b=5.175 c=5.175 alpha=91.21 beta=91.21 gamma=91.21
Fractional positions:
B: 0.039 0.386 0.386
B: 0.080 0.837 0.837
B: 0.163 0.163 0.920
B: 0.163 0.920 0.163
B: 0.386 0.039 0.386
B: 0.386 0.386 0.039
B: 0.614 0.614 0.961
B: 0.614 0.961 0.614
B: 0.837 0.080 0.837
B: 0.837 0.837 0.080
B: 0.920 0.163 0.163
B: 0.961 0.614 0.614
C: 0.351 0.351 0.351
C: 0.500 0.500 0.500
C: 0.649 0.649 0.649



## BC7 (PBE-GGA)

Data for a relaxed BC7 crystal.

Calculated values
- electronic total energy (eV per atom) = -8.710
- spin magnetization (μB/f.u.) = 0.004
- crystal system = tetragonal
- ΔE to the lowest computed polymorph (eV/atom) = 0.000

Unit cell a=2.518 b=2.518 c=7.494 alpha=90.00 beta=90.00 gamma=90.00
Fractional positions:
B: 0.000 0.000 0.000
C: 0.000 0.000 0.500
C: 0.000 0.500 0.142
C: 0.000 0.500 0.619
C: 0.500 0.000 0.381
C: 0.500 0.000 0.858
C: 0.500 0.500 0.258
C: 0.500 0.500 0.742



## BC7 (PBE-GGA)

Data for a relaxed BC7 crystal.

Calculated values
- electronic total energy (eV per atom) = -8.680
- spin magnetization (μB/f.u.) = 0.002
- crystal system = trigonal
- ΔE to the lowest computed polymorph (eV/atom) = 0.030

Unit cell a=8.642 b=8.642 c=8.642 alpha=16.88 beta=16.88 gamma=16.88
Fractional positions:
B: 0.000 0.000 0.000
C: 0.063 0.063 0.063
C: 0.246 0.246 0.246
C: 0.305 0.305 0.305
C: 0.417 0.417 0.417
C: 0.478 0.478 0.478
C: 0.831 0.831 0.831
C: 0.892 0.892 0.892



## B4C (PBE-GGA)

Data for a relaxed B4C crystal.

Calculated values
- electronic total energy (eV per atom) = -7.192
- spin magnetization (μB/f.u.) = 0.051
- crystal system = triclinic
- ΔE to the lowest computed polymorph (eV/atom) = 0.097

Unit cell a=5.119 b=5.119 c=22.368 alpha=94.78 beta=92.91 gamma=114.43
Fractional positions:
B: 0.000 0.000 0.000
B: 0.000 0.828 0.309
B: 0.003 0.330 0.664
B: 0.055 0.546 0.267
B: 0.056 0.875 0.932
B: 0.059 0.046 0.623
B: 0.067 0.068 0.131
B: 0.096 0.089 0.704
B: 0.124 0.087 0.866
B: 0.172 0.373 0.026
B: 0.195 0.942 0.467
B: 0.198 0.602 0.798
B: 0.201 0.400 0.600
B: 0.211 0.418 0.106
B: 0.250 0.658 0.426
B: 0.263 0.665 0.929
B: 0.264 0.466 0.731
B: 0.278 0.134 0.066
B: 0.290 0.701 0.506
B: 0.334 0.662 0.664
B: 0.340 0.994 0.663
B: 0.368 0.980 0.826
B: 0.387 0.550 0.269
B: 0.394 0.010 0.403
B: 0.404 0.022 0.906
B: 0.441 0.268 0.228
B: 0.459 0.736 0.865
B: 0.460 0.076 0.535
B: 0.471 0.259 0.728
B: 0.481 0.309 0.309
B: 0.525 0.272 0.467
B: 0.531 0.605 0.465
B: 0.578 0.565 0.623
B: 0.587 0.619 0.203
B: 0.615 0.607 0.704
B: 0.649 0.856 0.026
B: 0.652 0.685 0.337
B: 0.666 0.864 0.529
B: 0.670 0.324 0.663
B: 0.688 0.901 0.106
B: 0.719 0.882 0.269
B: 0.722 0.213 0.268
B: 0.769 0.177 0.426
B: 0.790 0.409 0.200
B: 0.792 0.209 0.003
B: 0.793 0.743 0.866
B: 0.806 0.217 0.506
B: 0.852 0.458 0.826
B: 0.858 0.475 0.332
B: 0.860 0.276 0.134
B: 0.861 0.934 0.465
B: 0.887 0.499 0.906
B: 0.927 0.470 0.067
B: 0.933 0.803 0.066
B: 0.960 0.788 0.228
B: 0.993 0.812 0.801
C: 0.082 0.459 0.540
C: 0.128 0.415 0.865
C: 0.169 0.025 0.194
C: 0.277 0.066 0.342
C: 0.380 0.607 0.990
C: 0.401 0.199 0.600
C: 0.480 0.663 0.141
C: 0.580 0.213 0.790
C: 0.593 0.810 0.402
C: 0.606 0.138 0.067
C: 0.673 0.265 0.942
C: 0.790 0.799 0.588
C: 0.887 0.851 0.738
C: 0.977 0.415 0.391



## B9C (PBE-GGA)

Data for a relaxed B9C crystal.

Calculated values
- electronic total energy (eV per atom) = -6.619
- spin magnetization (μB/f.u.) = 0.000
- crystal system = triclinic
- ΔE to the lowest computed polymorph (eV/atom) = 0.000

Unit cell a=4.312 b=4.835 c=7.374 alpha=85.24 beta=81.96 gamma=80.52
Fractional positions:
B: 0.000 0.000 0.000
B: 0.001 0.639 0.321
B: 0.010 0.175 0.776
B: 0.151 0.962 0.206
B: 0.189 0.194 0.435
B: 0.223 0.536 0.491
B: 0.287 0.417 0.713
B: 0.372 0.028 0.863
B: 0.429 0.686 0.299
B: 0.434 0.839 0.508
B: 0.475 0.042 0.286
B: 0.533 0.707 0.752
B: 0.598 0.071 0.037
B: 0.600 0.320 0.836
B: 0.794 0.198 0.190
B: 0.840 0.686 0.009
B: 0.847 0.770 0.577
B: 0.897 0.541 0.801
C: 0.034 0.019 0.592
C: 0.766 0.530 0.203



## BC7 (PBE-GGA)

Data for a relaxed BC7 crystal.

Calculated values
- electronic total energy (eV per atom) = -8.678
- spin magnetization (μB/f.u.) = 0.002
- crystal system = orthorhombic
- ΔE to the lowest computed polymorph (eV/atom) = 0.032

Unit cell a=2.513 b=5.122 c=3.690 alpha=90.00 beta=90.00 gamma=90.00
Fractional positions:
B: 0.000 0.000 0.000
C: 0.000 0.259 0.759
C: 0.000 0.500 0.013
C: 0.000 0.741 0.759
C: 0.500 0.000 0.296
C: 0.500 0.254 0.515
C: 0.500 0.500 0.255
C: 0.500 0.746 0.515



## CaB2C2 (PBE-GGA)

Data for a relaxed CaB2C2 crystal.

Calculated values
- electronic total energy (eV per atom) = -7.096
- crystal system = tetragonal

Unit cell a=5.314 b=5.314 c=5.314 alpha=119.35 beta=119.35 gamma=91.13
Fractional positions:
Ca: 0.250 0.250 0.000
Ca: 0.750 0.750 0.000
B: 0.139 0.639 0.778
B: 0.361 0.139 0.500
B: 0.639 0.861 0.500
B: 0.861 0.361 0.222
C: 0.159 0.341 0.500
C: 0.341 0.841 0.181
C: 0.659 0.159 0.819
C: 0.841 0.659 0.500



## CaB2C2 (PBE-GGA)

Data for a relaxed CaB2C2 crystal.

Calculated values
- electronic total energy (eV per atom) = -6.951
- spin magnetization (μB/f.u.) = 0.000
- crystal system = tetragonal

Unit cell a=3.790 b=3.790 c=7.619 alpha=90.00 beta=90.00 gamma=90.00
Fractional positions:
Ca: 0.000 0.000 0.250
Ca: 0.000 0.000 0.750
B: 0.220 0.500 0.000
B: 0.500 0.220 0.500
B: 0.500 0.780 0.500
B: 0.780 0.500 0.000
C: 0.184 0.500 0.500
C: 0.500 0.184 0.000
C: 0.500 0.816 0.000
C: 0.816 0.500 0.500



## CaBC (PBE-GGA)

Data for a relaxed CaBC crystal.

Calculated values
- electronic total energy (eV per atom) = -6.040
- spin magnetization (μB/f.u.) = 0.000
- crystal system = hexagonal

Unit cell a=2.967 b=2.967 c=8.205 alpha=90.00 beta=90.00 gamma=120.00
Fractional positions:
Ca: 0.000 0.000 0.000
Ca: 0.000 0.000 0.500
B: 0.333 0.667 0.250
B: 0.667 0.333 0.750
C: 0.333 0.667 0.750
C: 0.667 0.333 0.250



## Ca9B2C4Cl8 (PBE-GGA)

Data for a relaxed Ca9B2C4Cl8 crystal.

Calculated values
- electronic total energy (eV per atom) = -4.977
- crystal system = orthorhombic

Unit cell a=8.941 b=8.941 c=12.165 alpha=90.00 beta=90.00 gamma=98.39
Fractional positions:
Ca: 0.029 0.333 0.550
Ca: 0.029 0.333 0.950
Ca: 0.121 0.879 0.750
Ca: 0.193 0.433 0.250
Ca: 0.333 0.029 0.050
Ca: 0.333 0.029 0.450
Ca: 0.341 0.659 0.592
Ca: 0.341 0.659 0.908
Ca: 0.433 0.193 0.750
Ca: 0.567 0.807 0.250
Ca: 0.659 0.341 0.092
Ca: 0.659 0.341 0.408
Ca: 0.667 0.971 0.550
Ca: 0.667 0.971 0.950
Ca: 0.807 0.567 0.750
Ca: 0.879 0.121 0.250
Ca: 0.971 0.667 0.050
Ca: 0.971 0.667 0.450
B: 0.085 0.582 0.750
B: 0.418 0.915 0.750
B: 0.582 0.085 0.250
B: 0.915 0.418 0.250
C: 0.063 0.597 0.632
C: 0.063 0.597 0.868
C: 0.403 0.937 0.632
C: 0.403 0.937 0.868
C: 0.597 0.063 0.132
C: 0.597 0.063 0.368
C: 0.937 0.403 0.132
C: 0.937 0.403 0.368
Cl: 0.000 0.000 0.000
Cl: 0.000 0.000 0.500
Cl: 0.124 0.198 0.750
Cl: 0.198 0.124 0.250
Cl: 0.276 0.724 0.121
Cl: 0.276 0.724 0.379
Cl: 0.340 0.340 0.000
Cl: 0.340 0.340 0.500
Cl: 0.488 0.512 0.750
Cl: 0.512 0.488 0.250
Cl: 0.660 0.660 0.000
Cl: 0.660 0.660 0.500
Cl: 0.724 0.276 0.621
Cl: 0.724 0.276 0.879
Cl: 0.802 0.876 0.750
Cl: 0.876 0.802 0.250



## Ca5BC4Cl3 (PBE-GGA)

Data for a relaxed Ca5BC4Cl3 crystal.

Calculated values
- electronic total energy (eV per atom) = -5.485
- spin magnetization (μB/f.u.) = 0.001
- crystal system = monoclinic

Unit cell a=7.283 b=7.283 c=18.750 alpha=90.44 beta=90.44 gamma=149.10
Fractional positions:
Ca: 0.051 0.944 0.141
Ca: 0.056 0.949 0.359
Ca: 0.156 0.844 0.750
Ca: 0.340 0.614 0.063
Ca: 0.386 0.660 0.437
Ca: 0.614 0.340 0.563
Ca: 0.660 0.386 0.937
Ca: 0.844 0.156 0.250
Ca: 0.944 0.051 0.641
Ca: 0.949 0.056 0.859
B: 0.465 0.535 0.250
B: 0.535 0.465 0.750
C: 0.010 0.088 0.487
C: 0.088 0.010 0.987
C: 0.449 0.550 0.173
C: 0.450 0.551 0.327
C: 0.550 0.449 0.673
C: 0.551 0.450 0.827
C: 0.912 0.990 0.013
C: 0.990 0.912 0.513
Cl: 0.193 0.807 0.250
Cl: 0.283 0.714 0.585
Cl: 0.286 0.717 0.915
Cl: 0.714 0.283 0.085
Cl: 0.717 0.286 0.415
Cl: 0.807 0.193 0.750